{
  "formula": "Li6Zn3P4S16",
  "functional": "GGA-PBE",
  "state": "relaxed",
  "cell": [[9.3352, 0.0000, 0.0000], [0.0016, 11.6083, 0.0000], [0.0221, 0.0351, 23.1477]],
  "species": ["Li", "Li", "Li", "Li", "Li", "Li", "Li", "Li", "Li", "Li", "Li", "Li", "Li", "Li", "Li", "Li", "Li", "Li", "Li", "Li", "Li", "Li", "Li", "Li", "Zn", "Zn", "Zn", "Zn", "Zn", "Zn", "Zn", "Zn", "Zn", "Zn", "Zn", "Zn", "P", "P", "P", "P", "P", "P", "P", "P", "P", "P", "P", "P", "P", "P", "P", "P", "S", "S", "S", "S", "S", "S", "S", "S", "S", "S", "S", "S", "S", "S", "S", "S", "S", "S", "S", "S", "S", "S", "S", "S", "S", "S", "S", "S", "S", "S", "S", "S", "S", "S", "S", "S", "S", "S", "S", "S", "S", "S", "S", "S", "S", "S", "S", "S", "S", "S", "S", "S", "S", "S", "S", "S", "S", "S", "S", "S", "S", "S", "S", "S"],
  "frac_coords": [[0.0000, 0.0000, 0.0000], [0.9998, 0.0013, 0.7517], [0.9998, 0.5046, 0.4998], [0.0011, 0.7542, 0.8762], [0.0015, 0.2537, 0.6243], [0.0059, 0.5002, 0.7507], [0.2423, 0.0079, 0.6259], [0.4867, 0.2556, 0.6255], [0.4878, 0.7528, 0.8766], [0.4887, 0.5034, 0.4997], [0.4896, 0.0034, 0.7516], [0.4896, 0.2497, 0.8767], [0.4943, 0.2544, 0.3729], [0.4938, 0.7514, 0.3743], [0.4957, 0.7504, 0.6228], [0.4967, 0.2524, 0.1242], [0.4987, 0.7511, 0.1251], [0.7434, 0.7566, 0.7517], [0.7441, 0.2595, 0.5002], [0.7456, 0.2483, 0.7508], [0.9939, 0.0009, 0.4977], [0.9955, 0.5042, 0.9999], [0.9959, 0.0028, 0.2488], [0.9982, 0.5040, 0.2486], [0.0000, 0.2504, 0.8760], [0.0016, 0.2542, 0.3729], [0.4831, 0.5028, 0.7493], [0.4934, 0.0014, 0.4977], [0.4928, 0.5036, 0.9996], [0.4941, 0.0007, 0.0001], [0.4935, 0.0012, 0.2488], [0.4952, 0.5019, 0.2494], [0.9939, 0.2520, 0.1244], [0.9944, 0.7503, 0.3750], [0.9951, 0.7512, 0.1239], [0.9961, 0.7508, 0.6238], [0.2415, 0.7545, 0.4978], [0.2415, 0.2557, 0.7478], [0.2451, 0.2522, 0.0001], [0.2454, 0.2522, 0.2493], [0.2449, 0.7527, 0.2498], [0.2461, 0.7561, 0.0010], [0.2477, 0.2451, 0.5010], [0.2477, 0.7481, 0.7505], [0.7423, 0.0025, 0.3748], [0.7424, 0.5057, 0.6234], [0.7439, 0.5010, 0.8758], [0.7454, 0.0024, 0.1247], [0.7447, 0.0077, 0.8726], [0.7451, 0.5021, 0.1247], [0.7473, 0.9982, 0.6265], [0.7486, 0.4973, 0.3744], [0.1220, 0.1411, 0.5526], [0.1219, 0.6492, 0.8013], [0.1236, 0.8596, 0.4441], [0.1255, 0.3588, 0.6955], [0.1278, 0.3502, 0.4466], [0.1276, 0.8556, 0.6935], [0.1300, 0.1486, 0.0558], [0.1303, 0.3555, 0.1937], [0.1296, 0.8557, 0.1942], [0.1309, 0.1493, 0.8044], [0.1308, 0.6486, 0.3058], [0.1322, 0.3572, 0.9442], [0.1320, 0.6500, 0.5551], [0.1330, 0.1466, 0.3052], [0.1331, 0.6487, 0.0565], [0.1345, 0.8584, 0.9466], [0.3575, 0.1395, 0.9484], [0.3578, 0.3642, 0.3016], [0.3582, 0.6417, 0.9488], [0.3591, 0.6487, 0.4479], [0.3593, 0.8640, 0.3019], [0.3604, 0.1414, 0.1974], [0.3600, 0.3633, 0.0519], [0.3597, 0.6412, 0.1981], [0.3603, 0.8659, 0.5516], [0.3609, 0.3546, 0.5512], [0.3622, 0.1453, 0.6972], [0.3621, 0.6422, 0.6949], [0.3625, 0.8565, 0.8006], [0.3647, 0.1401, 0.4459], [0.3649, 0.3586, 0.8013], [0.3671, 0.8618, 0.0539], [0.6193, 0.8976, 0.6777], [0.6222, 0.3970, 0.9283], [0.6235, 0.1124, 0.8203], [0.6236, 0.6045, 0.8187], [0.6247, 0.1038, 0.5712], [0.6260, 0.6074, 0.5713], [0.6275, 0.3964, 0.4288], [0.6269, 0.3994, 0.6805], [0.6286, 0.1059, 0.3194], [0.6285, 0.9030, 0.9277], [0.6311, 0.1060, 0.0689], [0.6305, 0.3979, 0.1805], [0.6309, 0.6021, 0.3200], [0.6310, 0.6055, 0.0688], [0.6321, 0.8982, 0.1810], [0.6331, 0.8967, 0.4312], [0.8585, 0.6138, 0.1768], [0.8590, 0.1140, 0.1769], [0.8593, 0.6084, 0.9252], [0.8595, 0.3909, 0.0727], [0.8604, 0.6102, 0.4267], [0.8596, 0.8912, 0.0728], [0.8612, 0.8937, 0.3238], [0.8620, 0.8963, 0.8219], [0.8626, 0.1151, 0.4263], [0.8636, 0.3902, 0.8225], [0.8643, 0.8931, 0.5726], [0.8652, 0.1113, 0.9263], [0.8647, 0.3972, 0.5737], [0.8658, 0.3906, 0.3211], [0.8665, 0.1075, 0.6767], [0.8676, 0.6100, 0.6777]],
  "spacegroup": "P1 (1)",
  "polymorph_energy_mev_per_atom": 4,
  "m_tot_mub_per_atom": 0.000,
  "formation_enthalpy_0k_kj_per_mol_fu": -2804,
  "e_tot_ev_per_cell": -496.331
}

{
  "formula": "Co2Ge",
  "functional": "GGA-PBE",
  "state": "relaxed",
  "cell": [[4.0053, 0.0000, 0.0000], [-2.0026, 3.4687, 0.0000], [0.0000, 0.0000, 5.0150]],
  "species": ["Co", "Co", "Co", "Co", "Ge", "Ge"],
  "frac_coords": [[0.0000, 0.0000, 0.0000], [0.0000, 0.0000, 0.5000], [0.3333, 0.6667, 0.2500], [0.6667, 0.3333, 0.7500], [0.3333, 0.6667, 0.7500], [0.6667, 0.3333, 0.2500]],
  "spacegroup": "P6_3/mmc (194)",
  "m_tot_mub_per_atom": 0.062,
  "formation_enthalpy_0k_kj_per_mol_fu": -28,
  "e_tot_ev_per_cell": -38.265
}

{
  "formula": "LaGa4Fe9C",
  "functional": "GGA-PBE",
  "state": "relaxed",
  "cell": [[-4.1738, 4.1738, 5.8011], [4.1738, -4.1738, 5.8011], [4.1738, 4.1738, -5.8011]],
  "species": ["La", "La", "Ga", "Ga", "Ga", "Ga", "Ga", "Ga", "Ga", "Ga", "Fe", "Fe", "Fe", "Fe", "Fe", "Fe", "Fe", "Fe", "Fe", "Fe", "Fe", "Fe", "Fe", "Fe", "Fe", "Fe", "Fe", "Fe", "C", "C"],
  "frac_coords": [[0.2500, 0.2500, 0.0000], [0.7500, 0.7500, 0.0000], [0.0608, 0.5608, 0.8663], [0.1945, 0.0608, 0.5000], [0.3055, 0.8055, 0.8663], [0.4392, 0.3055, 0.5000], [0.5608, 0.6945, 0.5000], [0.6945, 0.1945, 0.1337], [0.8055, 0.9392, 0.5000], [0.9392, 0.4392, 0.1337], [0.0000, 0.5000, 0.5000], [0.0648, 0.2119, 0.2767], [0.0660, 0.7825, 0.5000], [0.2119, 0.9352, 0.1471], [0.2175, 0.7175, 0.2834], [0.2825, 0.5660, 0.5000], [0.2881, 0.4352, 0.7233], [0.4340, 0.9340, 0.7166], [0.4352, 0.7119, 0.1471], [0.5000, 0.0000, 0.5000], [0.5648, 0.2881, 0.8529], [0.5660, 0.0660, 0.2834], [0.7119, 0.5648, 0.2767], [0.7175, 0.4340, 0.5000], [0.7825, 0.2825, 0.7166], [0.7881, 0.0648, 0.8529], [0.9340, 0.2175, 0.5000], [0.9352, 0.7881, 0.7233], [0.0000, 0.0000, 0.0000], [0.5000, 0.5000, 0.0000]],
  "spacegroup": "I4/mcm (140)",
  "m_tot_mub_per_atom": 1.024,
  "formation_enthalpy_0k_kj_per_mol_fu": -324,
  "e_tot_ev_per_cell": -211.727
}

{
  "formula": "ThRu",
  "functional": "GGA-PBE",
  "state": "relaxed",
  "cell": [[1.9442, -5.8005, 0.0000], [1.9442, 5.8005, 0.0000], [0.0000, 0.0000, 4.0096]],
  "species": ["Th", "Th", "Ru", "Ru"],
  "frac_coords": [[0.1373, 0.8627, 0.7500], [0.8627, 0.1373, 0.2500], [0.4066, 0.5934, 0.7500], [0.5934, 0.4066, 0.2500]],
  "spacegroup": "Cmcm (63)",
  "formation_enthalpy_0k_kj_per_mol_fu": -104,
  "e_tot_ev_per_cell": -35.522
}

{
  "formula": "Re2SbO6",
  "functional": "GGA-PBE",
  "state": "relaxed",
  "cell": [[8.1300, -2.4924, 0.0000], [8.1300, 2.4924, 0.0000], [-0.1247, 0.0000, 5.5642]],
  "species": ["Re", "Re", "Re", "Re", "Sb", "Sb", "O", "O", "O", "O", "O", "O", "O", "O", "O", "O", "O", "O"],
  "frac_coords": [[0.0513, 0.5861, 0.6093], [0.4139, 0.9487, 0.8907], [0.5861, 0.0513, 0.1093], [0.9487, 0.4139, 0.3907], [0.3045, 0.6955, 0.2500], [0.6955, 0.3045, 0.7500], [0.1156, 0.1641, 0.1190], [0.1641, 0.1156, 0.6190], [0.2647, 0.3033, 0.3312], [0.3033, 0.2647, 0.8312], [0.3418, 0.5196, 0.5740], [0.4804, 0.6582, 0.9260], [0.5196, 0.3418, 0.0740], [0.6582, 0.4804, 0.4260], [0.6967, 0.7353, 0.1688], [0.7353, 0.6967, 0.6688], [0.8359, 0.8844, 0.3810], [0.8844, 0.8359, 0.8810]],
  "spacegroup": "C2/c (15)",
  "formation_enthalpy_0k_kj_per_mol_fu": -1670,
  "e_tot_ev_per_cell": -143.787
}